[1]
A plane-wave DFT calculation with PBE with a Hubbard U was carried out for crystalline LiMoH6NO5 at its relaxed geometry.

a b c (Å): 8.1745 14.2090 11.2337
angles (deg): 90.00 90.00 90.00
Space group Pbca (No. 61)
Unique sites:
Li 0.0158 0.1805 0.0733 [8 per cell]
Mo 0.0679 0.6299 0.1246 [8 per cell]
H 0.0851 0.0006 0.2722 [8 per cell]
H 0.1560 0.6640 0.7631 [8 per cell]
H 0.1608 0.5361 0.5337 [8 per cell]
H 0.1636 0.1877 0.8145 [8 per cell]
H 0.2404 0.5936 0.8594 [8 per cell]
H 0.2455 0.1309 0.5251 [8 per cell]
N 0.2353 0.1332 0.7856 [8 per cell]
O 0.0295 0.1961 0.4895 [8 per cell]
O 0.0448 0.0146 0.3525 [8 per cell]
O 0.0534 0.6927 0.2584 [8 per cell]
O 0.1486 0.6010 0.5072 [8 per cell]
O 0.2224 0.1072 0.0897 [8 per cell]

---

[2]
A plane-wave DFT calculation with PBE with a Hubbard U was carried out for crystalline NaLiMoH4O6 at its relaxed geometry.

a b c (Å): 8.4265 10.3966 13.4143
angles (deg): 90.00 90.00 90.00
Space group Pbca (No. 61)
Unique sites:
Na 0.1462 0.0063 0.0898 [8 per cell]
Li 0.2330 0.0563 0.8649 [8 per cell]
Mo 0.0101 0.1896 0.4724 [8 per cell]
H 0.0782 0.6051 0.2412 [8 per cell]
H 0.0809 0.6722 0.3459 [8 per cell]
H 0.1225 0.1248 0.6864 [8 per cell]
H 0.2290 0.7125 0.6941 [8 per cell]
O 0.0664 0.5868 0.3136 [8 per cell]
O 0.0675 0.1451 0.9537 [8 per cell]
O 0.0690 0.6741 0.9029 [8 per cell]
O 0.1341 0.6497 0.1226 [8 per cell]
O 0.1784 0.0862 0.4620 [8 per cell]
O 0.2296 0.1274 0.7151 [8 per cell]

---

[3]
A plane-wave DFT calculation with PBE with a Hubbard U was carried out for crystalline Na3LiMo2H12O14 at its relaxed geometry.

a b c (Å): 8.8009 8.8009 31.7167
angles (deg): 90.00 90.00 120.00
Space group R3c (No. 161, hexagonal axes)
Unique sites:
Na 0.0324 0.2600 0.0000 [18 per cell]
Li 0.0000 0.0000 0.2622 [6 per cell]
Mo 0.0000 0.0000 0.1451 [6 per cell]
Mo 0.0000 0.0000 0.3999 [6 per cell]
H 0.0001 0.3398 0.5386 [18 per cell]
H 0.0466 0.4548 0.4567 [18 per cell]
H 0.1094 0.3575 0.4252 [18 per cell]
H 0.1404 0.4432 0.2367 [18 per cell]
O 0.0000 0.0000 0.2008 [6 per cell]
O 0.0000 0.0000 0.4562 [6 per cell]
O 0.0733 0.2210 0.3820 [18 per cell]
O 0.1160 0.4245 0.2060 [18 per cell]
O 0.1468 0.4368 0.4502 [18 per cell]
O 0.1616 0.4573 0.2923 [18 per cell]

---

[4]
A plane-wave DFT calculation with PBE with a Hubbard U was carried out for crystalline LiV5H18N2O19 at its relaxed geometry.

a b c (Å): 8.5812 10.3135 11.3035
angles (deg): 68.29 86.55 67.08
Space group P-1 (No. 2)
Unique sites:
Li 0.0651 0.3396 0.1356 [2 per cell]
V 0.1702 0.7900 0.2740 [2 per cell]
V 0.3112 0.4970 0.5193 [2 per cell]
V 0.3737 0.7907 0.4967 [2 per cell]
V 0.4660 0.2013 0.7665 [2 per cell]
V 0.4763 0.5037 0.2563 [2 per cell]
H 0.0046 0.0947 0.3235 [2 per cell]
H 0.0722 0.4623 0.7243 [2 per cell]
H 0.0885 0.2534 0.9426 [2 per cell]
H 0.0925 0.2596 0.5373 [2 per cell]
H 0.1051 0.5364 0.2313 [2 per cell]
H 0.1157 0.2113 0.4079 [2 per cell]
H 0.1389 0.7485 0.6793 [2 per cell]
H 0.1549 0.8213 0.9304 [2 per cell]
H 0.1674 0.1032 0.0634 [2 per cell]
H 0.2446 0.0892 0.5438 [2 per cell]
H 0.2518 0.5038 0.0381 [2 per cell]
H 0.2620 0.4346 0.9361 [2 per cell]
H 0.2656 0.2546 0.4564 [2 per cell]
H 0.2702 0.9289 0.8791 [2 per cell]
H 0.3330 0.7789 0.0178 [2 per cell]
H 0.3504 0.7482 0.8799 [2 per cell]
H 0.3798 0.0893 0.2746 [2 per cell]
H 0.3955 0.2460 0.2355 [2 per cell]
N 0.1798 0.2035 0.4872 [2 per cell]
N 0.2770 0.8197 0.9260 [2 per cell]
O 0.0168 0.5003 0.2236 [2 per cell]
O 0.0222 0.1090 0.7968 [2 per cell]
O 0.0292 0.7948 0.7103 [2 per cell]
O 0.0740 0.2044 0.0324 [2 per cell]
O 0.1242 0.6271 0.4251 [2 per cell]
O 0.1723 0.8728 0.3981 [2 per cell]
O 0.1813 0.4862 0.9862 [2 per cell]
O 0.2526 0.6329 0.2068 [2 per cell]
O 0.2610 0.3660 0.6475 [2 per cell]
O 0.3029 0.8849 0.1740 [2 per cell]
O 0.3158 0.6201 0.6169 [2 per cell]
O 0.3165 0.1998 0.2323 [2 per cell]
O 0.3416 0.8895 0.5884 [2 per cell]
O 0.3826 0.0924 0.8668 [2 per cell]
O 0.3959 0.3743 0.4192 [2 per cell]
O 0.4355 0.6210 0.3958 [2 per cell]
O 0.4373 0.3576 0.8333 [2 per cell]
O 0.4817 0.8770 0.3628 [2 per cell]
O 0.4934 0.6045 0.8284 [2 per cell]

---

[5]
A plane-wave DFT calculation with PBE with a Hubbard U was carried out for crystalline LiNi2P4H3O14 at its relaxed geometry.

a b c (Å): 11.0366 12.9779 8.8855
angles (deg): 90.00 123.21 90.00
Space group Cc (No. 9)
Unique sites:
Li 0.0000 0.1398 0.0000 [4 per cell]
Ni 0.2482 0.2493 0.7397 [4 per cell]
Ni 0.4962 0.4049 0.9914 [4 per cell]
P 0.0664 0.2847 0.3078 [4 per cell]
P 0.2173 0.0444 0.9259 [4 per cell]
P 0.2739 0.4542 0.5573 [4 per cell]
P 0.4280 0.2118 0.1712 [4 per cell]
H 0.1615 0.3962 0.9528 [4 per cell]
H 0.2720 0.2493 0.2521 [4 per cell]
H 0.3322 0.1050 0.5354 [4 per cell]
O 0.0876 0.3133 0.7813 [4 per cell]
O 0.0931 0.0281 0.9494 [4 per cell]
O 0.1098 0.2175 0.4729 [4 per cell]
O 0.1160 0.2400 0.1918 [4 per cell]
O 0.1536 0.3918 0.3859 [4 per cell]
O 0.1770 0.1063 0.7590 [4 per cell]
O 0.1980 0.4448 0.0577 [4 per cell]
O 0.2957 0.0556 0.4300 [4 per cell]
O 0.3153 0.3935 0.7261 [4 per cell]
O 0.3381 0.1076 0.0995 [4 per cell]
O 0.3812 0.2819 0.0106 [4 per cell]
O 0.3819 0.2567 0.2970 [4 per cell]
O 0.3993 0.4720 0.5363 [4 per cell]
O 0.4059 0.1864 0.7026 [4 per cell]

---

no.,calculated formation energy (eV/atom)
1,-1.286
2,-1.771
3,-1.668
4,-1.569
5,-2.233